The following is a DFT calculation (PBE) of a geometry-optimized Mg2Ag2O5 structure.

Lattice parameters (Å, degrees): 3.9994 5.1896 10.9024 90.00 90.00 90.00
Element x y z (fractional)
1 Ag 0.0000 0.3083 0.8668
2 O 0.0000 0.2347 0.6518
3 O 0.0000 0.7347 0.8482
4 O 0.5000 0.2566 0.4001
5 Ag 0.0000 0.6917 0.1332
6 Mg 0.5000 0.1781 0.0944
7 O 0.0000 0.7653 0.3482
8 Mg 0.5000 0.6781 0.4056
9 Mg 0.5000 0.3219 0.5944
10 O 0.0000 0.5000 0.5000
11 O 0.5000 0.7566 0.0999
12 Mg 0.5000 0.8219 0.9056
13 O 0.5000 0.7434 0.5999
14 O 0.0000 0.2653 0.1518
15 O 0.0000 0.0000 0.0000
16 Ag 0.0000 0.1917 0.3668
17 Ag 0.0000 0.8083 0.6332
18 O 0.5000 0.2434 0.9001

Summary:
For the formation energy, the calculation gives -1072 kJ/mol of formula units. As for the space-group type: Pbam, No. 55.